! Na13Ca7S12Cl2O48F (GGA-PBE, relaxed); values from VASP
! - space group = No. 1
! - energy relative to the elements (eV/atom) = -2.422
! - corrected total energy (MP2020 scheme) (hartree per atom) = -0.232
! - crystal system = triclinic
&SYSTEM
  ibrav = 0, nat = 83, ntyp = 6
/
ATOMIC_SPECIES
Na 22.99 Na.upf
Ca 40.08 Ca.upf
S 32.06 S.upf
Cl 35.45 Cl.upf
O 16.00 O.upf
F 19.00 F.upf
CELL_PARAMETERS angstrom
-3.629 1.560 8.847
7.983 4.735 -2.820
-7.872 10.260 -5.104
ATOMIC_POSITIONS crystal
Na 0.232 0.228 0.389
Na 0.011 0.741 0.871
Na 0.001 0.769 0.384
Na 0.323 0.669 0.747
Na 0.332 0.671 0.984
Na 0.318 0.659 0.505
Na 0.280 0.005 0.626
Na 0.731 0.994 0.871
Na 0.675 0.328 0.746
Na 0.661 0.333 0.261
Na 0.675 0.337 0.994
Na 0.664 0.329 0.505
Na 0.994 0.273 0.630
Ca 0.255 0.261 0.870
Ca 0.327 0.662 0.256
Ca 0.275 0.010 0.124
Ca 0.767 0.003 0.380
Ca 0.990 0.264 0.123
Ca 0.734 0.723 0.629
Ca 0.738 0.723 0.123
S 0.027 0.645 0.624
S 0.040 0.645 0.128
S 0.365 0.391 0.625
S 0.358 0.396 0.126
S 0.398 0.034 0.879
S 0.406 0.025 0.373
S 0.615 0.968 0.623
S 0.606 0.962 0.129
S 0.626 0.601 0.878
S 0.623 0.600 0.374
S 0.971 0.367 0.879
S 0.970 0.373 0.372
Cl 0.000 0.000 0.167
Cl 0.996 0.996 0.817
O 0.270 0.348 0.715
O 0.253 0.332 0.543
O 0.259 0.366 0.214
O 0.247 0.331 0.042
O 0.149 0.461 0.876
O 0.146 0.481 0.370
O 0.103 0.543 0.620
O 0.115 0.541 0.118
O 0.081 0.744 0.712
O 0.107 0.738 0.218
O 0.076 0.752 0.539
O 0.089 0.757 0.046
O 0.460 0.570 0.621
O 0.458 0.573 0.116
O 0.323 0.858 0.876
O 0.339 0.848 0.370
O 0.522 0.672 0.876
O 0.516 0.672 0.370
O 0.428 0.884 0.119
O 0.439 0.885 0.618
O 0.333 0.084 0.963
O 0.363 0.098 0.791
O 0.362 0.078 0.282
O 0.345 0.071 0.456
O 0.678 0.918 0.538
O 0.665 0.910 0.708
O 0.670 0.911 0.048
O 0.637 0.900 0.220
O 0.573 0.109 0.892
O 0.584 0.106 0.377
O 0.460 0.321 0.131
O 0.476 0.326 0.624
O 0.683 0.142 0.624
O 0.679 0.138 0.130
O 0.529 0.424 0.889
O 0.530 0.425 0.376
O 0.922 0.255 0.964
O 0.907 0.273 0.790
O 0.924 0.266 0.457
O 0.918 0.267 0.284
O 0.903 0.473 0.892
O 0.885 0.465 0.373
O 0.848 0.542 0.624
O 0.864 0.544 0.131
O 0.739 0.662 0.961
O 0.719 0.634 0.788
O 0.728 0.663 0.460
O 0.727 0.653 0.286
F 0.988 0.999 0.401